(1)
A plane-wave DFT calculation with PBE-GGA was carried out for crystalline Ti3Si at its relaxed geometry.

## Properties
formation enthalpy at 0 K	-0.443	eV/atom
calculated volume	15.60	Å³/atom

a = 5.6400 Å, b = 5.6400 Å, c = 4.5289 Å
α = 90.00°, β = 90.00°, γ = 120.00°
Closest atoms and distances in Å follow each position.
Space group P6_3/mmc (No. 194)
One atom of each set of equivalent atoms:
Ti: 0.1713 0.3425 0.2500  8 Ti 2.74-2.90, 4 Si 2.76-2.82
Si: 0.3333 0.6667 0.7500  12 Ti 2.76-2.82



(2)
A plane-wave DFT calculation with PBE-GGA was carried out for crystalline Ti5Si4 at its relaxed geometry.

## Properties
formation enthalpy at 0 K	-0.759	eV/atom
calculated volume	15.25	Å³/atom

a = 6.7086 Å, b = 6.7086 Å, c = 12.1988 Å
α = 90.00°, β = 90.00°, γ = 90.00°
Closest atoms and distances in Å follow each position.
Space group P4_12_12 (No. 92)
One atom of each set of equivalent atoms:
Ti: 0.0016 0.3465 0.2180  7 Si 2.59-2.88
Ti: 0.0039 0.8515 0.1221  6 Si 2.47-2.63
Ti: 0.1717 0.1717 0.0000  6 Si 2.58-2.70, 2 Ti 2.85
Si: 0.0452 0.3011 0.8135  1 Si 2.43, 7 Ti 2.51-2.66
Si: 0.1439 0.7954 0.9229  1 Si 2.43, 5 Ti 2.47-2.70



(3)
A plane-wave DFT calculation with PBE-GGA was carried out for crystalline TiSi at its relaxed geometry.

## Properties
formation enthalpy at 0 K	-0.493	eV/atom
calculated volume	14.63	Å³/atom
magnetic moment	0.000	μB/atom

a = 3.6324 Å, b = 4.2352 Å, c = 3.8039 Å
α = 90.00°, β = 90.00°, γ = 90.00°
Closest atoms and distances in Å follow each position.
Space group Cmmm (No. 65)
One atom of each set of equivalent atoms:
Ti: 0.0000 0.0000 0.0000  8 Si 2.63-2.85, 4 Ti 2.79
Si: 0.0000 0.5000 0.5000  8 Ti 2.63-2.85, 4 Si 2.79



(4)
A plane-wave DFT calculation with PBE-GGA was carried out for crystalline Ti2Si at its relaxed geometry.

## Properties
formation enthalpy at 0 K	0.307	eV/atom
calculated volume	19.33	Å³/atom
magnetic moment	1.274	μB/atom

a = 6.1442 Å, b = 6.1442 Å, c = 6.1442 Å
α = 90.00°, β = 90.00°, γ = 90.00°
Closest atoms and distances in Å follow each position.
Space group F-43m (No. 216)
One atom of each set of equivalent atoms:
Ti: 0.0000 0.0000 0.0000  4 Ti 2.66
Ti: 0.2500 0.2500 0.2500  4 Ti 2.66, 4 Si 2.66
Si: 0.0000 0.0000 0.5000  4 Ti 2.66



(5)
A plane-wave DFT calculation with PBE-GGA was carried out for crystalline TiSi at its relaxed geometry.

## Properties
formation enthalpy at 0 K	-0.733	eV/atom
calculated volume	14.93	Å³/atom

a = 6.5446 Å, b = 3.6417 Å, c = 5.0108 Å
α = 90.00°, β = 90.00°, γ = 90.00°
Closest atoms and distances in Å follow each position.
Space group Pnma (No. 62)
One atom of each set of equivalent atoms:
Ti: 0.1755 0.2500 0.1281  7 Si 2.56-2.78
Si: 0.0448 0.2500 0.6457  2 Si 2.41, 5 Ti 2.56-2.58



(6)
A plane-wave DFT calculation with PBE-GGA was carried out for crystalline TiSi at its relaxed geometry.

## Properties
formation enthalpy at 0 K	-0.492	eV/atom
calculated volume	14.68	Å³/atom
magnetic moment	0.001	μB/atom

a = 3.7989 Å, b = 3.6134 Å, c = 4.2790 Å
α = 90.00°, β = 90.00°, γ = 90.00°
Closest atoms and distances in Å follow each position.
Space group Amm2 (No. 38)
One atom of each set of equivalent atoms:
Ti: 0.0000 0.0000 0.0000  8 Si 2.62-2.90, 4 Ti 2.80
Si: 0.5000 0.0000 0.5118  8 Ti 2.62-2.90, 4 Si 2.80